Entry from the Materials Project: an optimized crystal structure of HfBi2 (meta-GGA r2SCAN).

Structure (POSCAR):
```
HfBi2
1.0
-0.493 -3.257 -2.313
9.821 -2.498 1.426
-3.956 -8.356 12.608
Bi Hf
16 8
direct
0.000 0.486 0.893
0.500 0.765 0.800
0.000 0.654 0.650
0.000 0.514 0.107
0.500 0.625 0.443
0.500 0.154 0.850
0.500 0.375 0.557
0.000 0.346 0.350
0.500 0.846 0.150
0.000 0.125 0.057
0.500 0.235 0.200
0.500 0.986 0.607
0.500 0.014 0.393
0.000 0.735 0.300
0.000 0.265 0.700
0.000 0.875 0.943
0.500 0.522 0.254
0.000 0.839 0.495
0.000 0.022 0.246
0.000 0.161 0.505
0.500 0.339 0.005
0.000 0.978 0.754
0.500 0.661 0.995
0.500 0.478 0.746
```

=====

Entry from the Materials Project: an optimized crystal structure of Hf6NiBi2 (meta-GGA r2SCAN).

Structure (POSCAR):
```
Hf6NiBi2
1.0
0.000 0.000 -3.661
-3.884 -6.728 0.000
-3.884 6.728 0.000
Bi Hf Ni
2 6 1
direct
0.500 0.333 0.667
0.500 0.667 0.333
0.500 0.234 0.000
0.000 0.611 0.000
0.500 0.766 0.766
0.000 0.000 0.611
0.000 0.389 0.389
0.500 0.000 0.234
0.000 0.000 0.000
```

=====

Entry from the Materials Project: an optimized crystal structure of HgBi2O6 (meta-GGA r2SCAN).

Structure (POSCAR):
```
HgBi2O6
1.0
5.000 0.000 0.000
0.000 5.000 0.000
0.000 0.000 10.387
O Hg Bi
12 2 4
direct
0.184 0.816 0.500
0.684 0.684 0.000
0.700 0.700 0.323
0.800 0.200 0.823
0.300 0.300 0.677
0.800 0.200 0.177
0.200 0.800 0.823
0.816 0.184 0.500
0.700 0.700 0.677
0.300 0.300 0.323
0.200 0.800 0.177
0.316 0.316 0.000
0.000 0.000 0.000
0.500 0.500 0.500
0.000 0.000 0.668
0.500 0.500 0.832
0.500 0.500 0.168
0.000 0.000 0.332
```

=====

Ho5Bi3, optimized geometry, DFT meta-GGA r2SCAN; distance to the lowest polymorph of the same formula = 0.004 eV per atom
1.0
5.495 6.034 -1.089
-6.835 6.387 0.907
1.923 0.380 11.815
Ho Bi
20 12
direct
0.329 0.750 0.274
0.689 0.937 0.435
0.689 0.563 0.435
0.160 0.250 0.791
0.311 0.063 0.565
0.979 0.250 0.505
0.521 0.250 0.005
0.311 0.437 0.565
0.840 0.750 0.209
0.660 0.750 0.709
0.829 0.250 0.226
0.171 0.750 0.774
0.811 0.563 0.935
0.479 0.750 0.995
0.021 0.750 0.495
0.811 0.937 0.935
0.671 0.250 0.726
0.340 0.250 0.291
0.189 0.437 0.065
0.189 0.063 0.065
0.938 0.992 0.675
0.438 0.492 0.825
0.399 0.750 0.528
0.899 0.250 0.972
0.601 0.250 0.472
0.062 0.008 0.325
0.562 0.992 0.175
0.562 0.508 0.175
0.938 0.508 0.675
0.062 0.492 0.325
0.438 0.008 0.825
0.101 0.750 0.028

=====

Ho5Bi3, optimized geometry, DFT meta-GGA r2SCAN; distance to the lowest polymorph of the same formula = 0.000 eV per atom
1.0
8.200 0.000 0.000
0.000 9.420 0.000
0.000 0.000 11.973
Ho Bi
20 12
direct
0.193 0.936 0.441
0.193 0.564 0.441
0.693 0.936 0.059
0.685 0.750 0.782
0.355 0.750 0.215
0.145 0.250 0.715
0.807 0.436 0.559
0.476 0.250 0.489
0.185 0.750 0.718
0.315 0.250 0.218
0.693 0.564 0.059
0.815 0.250 0.282
0.307 0.064 0.941
0.024 0.750 0.989
0.307 0.436 0.941
0.645 0.250 0.785
0.855 0.750 0.285
0.976 0.250 0.011
0.524 0.750 0.511
0.807 0.064 0.559
0.066 0.504 0.174
0.593 0.250 0.042
0.066 0.996 0.174
0.093 0.250 0.458
0.407 0.750 0.958
0.934 0.496 0.826
0.934 0.004 0.826
0.566 0.996 0.326
0.907 0.750 0.542
0.434 0.004 0.674
0.434 0.496 0.674
0.566 0.504 0.326

=====

Entry from the Materials Project: an optimized crystal structure of Ho5Ni2Bi (meta-GGA r2SCAN).

Structure (POSCAR):
```
Ho5Ni2Bi
1.0
-3.810 3.810 6.693
3.810 -3.810 6.693
3.810 3.810 -6.693
Bi Ho Ni
2 10 4
direct
0.750 0.750 0.000
0.250 0.250 0.000
0.712 0.212 0.190
0.212 0.022 0.500
0.978 0.478 0.190
0.022 0.522 0.810
0.500 0.500 0.000
0.478 0.288 0.500
0.288 0.788 0.810
0.522 0.712 0.500
0.000 0.000 0.000
0.788 0.978 0.500
0.132 0.368 0.500
0.632 0.132 0.764
0.868 0.632 0.500
0.368 0.868 0.236
```

=====

Entry from the Materials Project: an optimized crystal structure of Ho5NiBi2 (meta-GGA r2SCAN).

Structure (POSCAR):
```
Ho5NiBi2
1.0
-1.769 -7.598 -1.828
7.282 -0.510 -4.927
6.353 -3.833 9.786
Bi Ho Ni
8 20 4
direct
0.068 0.509 0.674
0.568 0.009 0.826
0.432 0.509 0.174
0.932 0.491 0.326
0.568 0.491 0.826
0.432 0.991 0.174
0.068 0.991 0.674
0.932 0.009 0.326
0.823 0.461 0.065
0.156 0.250 0.200
0.450 0.250 0.999
0.177 0.539 0.935
0.550 0.750 0.001
0.677 0.461 0.565
0.050 0.250 0.499
0.344 0.250 0.700
0.656 0.750 0.300
0.844 0.750 0.800
0.121 0.750 0.189
0.177 0.961 0.935
0.879 0.250 0.811
0.677 0.039 0.565
0.323 0.961 0.435
0.379 0.750 0.689
0.823 0.039 0.065
0.950 0.750 0.501
0.323 0.539 0.435
0.621 0.250 0.311
0.573 0.750 0.510
0.073 0.250 0.990
0.927 0.750 0.010
0.427 0.250 0.490
```

=====

Entry from the Materials Project: an optimized crystal structure of Ho2BiO2 (meta-GGA r2SCAN).

Structure (POSCAR):
```
Ho2BiO2
1.0
-1.920 1.920 6.697
1.920 -1.920 6.697
1.920 1.920 -6.697
Ho Bi O
2 1 2
direct
0.331 0.331 0.000
0.669 0.669 0.000
0.000 0.000 0.000
0.250 0.750 0.500
0.750 0.250 0.500
```

=====

Entry from the Materials Project: an optimized crystal structure of Ho5BiPd2 (meta-GGA r2SCAN).

Structure (POSCAR):
```
Ho5BiPd2
1.0
6.358 -5.833 1.399
1.444 0.843 8.580
-7.663 -1.363 -3.977
Bi Ho Pd
2 10 4
direct
0.750 0.750 0.000
0.250 0.250 0.000
0.014 0.206 0.500
0.514 0.014 0.808
0.206 0.706 0.192
0.486 0.986 0.192
0.500 0.500 0.000
0.794 0.294 0.808
0.000 0.000 0.000
0.986 0.794 0.500
0.294 0.486 0.500
0.706 0.514 0.500
0.862 0.362 0.224
0.362 0.138 0.500
0.138 0.638 0.776
0.638 0.862 0.500
```

=====

Entry from the Materials Project: an optimized crystal structure of Ho5BiPt2 (meta-GGA r2SCAN).

Structure (POSCAR):
```
Ho5BiPt2
1.0
-3.871 3.871 6.844
3.871 -3.871 6.844
3.871 3.871 -6.844
Pt Bi Ho
4 2 10
direct
0.360 0.140 0.500
0.860 0.360 0.221
0.640 0.860 0.500
0.140 0.640 0.779
0.250 0.250 0.000
0.750 0.750 0.000
0.980 0.791 0.500
0.480 0.980 0.189
0.520 0.020 0.811
0.291 0.480 0.500
0.020 0.209 0.500
0.000 0.000 0.000
0.791 0.291 0.811
0.500 0.500 0.000
0.209 0.709 0.189
0.709 0.520 0.500
```

=====

Entry from the Materials Project: an optimized crystal structure of Ho6Bi2Rh (meta-GGA r2SCAN).

Structure (POSCAR):
```
Ho6Bi2Rh
1.0
-1.299 8.234 -0.163
-5.255 -4.968 4.149
2.284 0.428 3.405
Rh Ho Bi
1 6 2
direct
0.000 0.000 0.500
0.000 0.237 0.000
0.237 0.000 0.000
0.605 0.000 0.500
0.000 0.605 0.500
0.395 0.395 0.500
0.763 0.763 0.000
0.667 0.333 0.000
0.333 0.667 0.000
```

=====

Entry from the Materials Project: an optimized crystal structure of BiI (meta-GGA r2SCAN).

Structure (POSCAR):
```
BiI
1.0
-3.045 -1.216 -2.927
3.348 -6.697 2.599
-7.833 2.274 7.203
I Bi
4 4
direct
0.154 0.309 0.627
0.545 0.089 0.218
0.455 0.911 0.782
0.846 0.691 0.373
0.821 0.641 0.010
0.195 0.391 0.278
0.805 0.609 0.722
0.179 0.359 0.990
```

=====

Entry from the Materials Project: an optimized crystal structure of BiI (meta-GGA r2SCAN).

Structure (POSCAR):
```
BiI
1.0
4.394 -0.001 0.002
-2.198 7.569 -0.515
0.009 -0.292 20.827
Bi I
8 8
direct
0.747 0.494 0.390
0.941 0.883 0.747
0.997 0.995 0.892
0.253 0.506 0.610
0.059 0.117 0.253
0.003 0.005 0.108
0.696 0.391 0.244
0.304 0.609 0.756
0.386 0.770 0.364
0.370 0.740 0.146
0.881 0.765 0.565
0.614 0.230 0.636
0.119 0.235 0.435
0.368 0.738 0.937
0.632 0.262 0.063
0.630 0.260 0.854
```

=====

Entry from the Materials Project: an optimized crystal structure of BiI3 (meta-GGA r2SCAN).

Structure (POSCAR):
```
BiI3
1.0
-5.433 2.793 -11.802
5.385 -4.284 -3.493
-2.619 -7.192 -0.497
I Bi
12 4
direct
0.993 0.775 0.253
0.507 0.275 0.253
0.675 0.268 0.741
0.833 0.273 0.232
0.175 0.232 0.259
0.825 0.768 0.741
0.167 0.727 0.768
0.325 0.732 0.259
0.493 0.725 0.747
0.333 0.227 0.768
0.007 0.225 0.747
0.667 0.773 0.232
0.833 0.015 0.992
0.333 0.485 0.008
0.167 0.985 0.008
0.667 0.515 0.992
```

=====

Entry from the Materials Project: an optimized crystal structure of BiI3 (meta-GGA r2SCAN).

Structure (POSCAR):
```
BiI3
1.0
-3.730 -6.652 -0.684
6.277 -3.774 2.470
-4.241 1.097 12.452
I Bi
12 4
direct
0.407 0.199 0.410
0.567 0.687 0.250
0.933 0.187 0.250
0.093 0.699 0.410
0.067 0.813 0.750
0.907 0.301 0.590
0.093 0.699 0.090
0.593 0.801 0.910
0.593 0.801 0.590
0.907 0.301 0.910
0.433 0.313 0.750
0.407 0.199 0.090
0.249 0.444 0.250
0.749 0.056 0.750
0.251 0.944 0.250
0.751 0.556 0.750
```

=====

Entry from the Materials Project: an optimized crystal structure of Bi7I2 (meta-GGA r2SCAN).

Structure (POSCAR):
```
Bi7I2
1.0
-0.339 -4.324 -1.004
-2.360 -2.415 11.199
-13.187 1.445 -1.773
I Bi
4 14
direct
0.750 0.652 0.071
0.250 0.540 0.350
0.750 0.460 0.650
0.250 0.348 0.929
0.250 0.411 0.150
0.250 0.128 0.475
0.750 0.804 0.307
0.250 0.763 0.797
0.750 0.084 0.973
0.750 0.872 0.525
0.750 0.027 0.751
0.750 0.237 0.203
0.750 0.589 0.850
0.250 0.196 0.693
0.750 0.299 0.421
0.250 0.916 0.027
0.250 0.973 0.249
0.250 0.701 0.579
```

=====

Entry from the Materials Project: an optimized crystal structure of BiI3 (meta-GGA r2SCAN).

Structure (POSCAR):
```
BiI3
1.0
6.881 0.048 4.930
2.558 6.388 4.930
0.070 0.048 8.464
I Bi
6 2
direct
0.083 0.740 0.429
0.260 0.571 0.917
0.917 0.260 0.571
0.571 0.917 0.260
0.740 0.429 0.083
0.429 0.083 0.740
0.333 0.333 0.333
0.667 0.667 0.667
```

=====

Number 1: calculated formation energy -0.43 eV per formula unit, V 26.83 Å³ per atom. Number 2: calculated formation energy -2.68 eV per formula unit, V 21.26 Å³ per atom. Number 3: calculated formation energy -6.55 eV per formula unit, V 14.43 Å³ per atom. Number 4: calculated formation energy -6.34 eV per formula unit, V 28.96 Å³ per atom. Number 5: calculated formation energy -6.37 eV per formula unit, V 28.90 Å³ per atom. Number 6: calculated formation energy -3.99 eV per formula unit, V 24.28 Å³ per atom. Number 7: calculated formation energy -5.37 eV per formula unit, V 27.08 Å³ per atom. Number 8: calculated formation energy -14.96 eV per formula unit, V 19.75 Å³ per atom. Number 9: calculated formation energy -6.15 eV per formula unit, V 25.58 Å³ per atom. Number 10: calculated formation energy -8.41 eV per formula unit, V 25.64 Å³ per atom. Number 11: calculated formation energy -6.58 eV per formula unit, V 27.57 Å³ per atom. Number 12: calculated formation energy -0.69 eV per formula unit, V 43.78 Å³ per atom. Number 13: calculated formation energy -0.69 eV per formula unit, V 43.24 Å³ per atom. Number 14: calculated formation energy -2.15 eV per formula unit, V 46.71 Å³ per atom. Number 15: calculated formation energy -2.02 eV per formula unit, V 48.83 Å³ per atom. Number 16: calculated formation energy -1.19 eV per formula unit, V 38.67 Å³ per atom. Number 17: calculated formation energy -2.15 eV per formula unit, V 45.98 Å³ per atom.